(1)
LiAsF6, relaxed, DFT r²SCAN; energy of formation = -2.560 eV per atom; symmetry = R-3 (148)
1.0
4.548 -2.443 0.032
4.548 2.443 0.032
3.207 0.000 4.046
Li F As
1 6 1
Direct
0.500 0.500 0.500
0.888 0.650 0.229
0.650 0.229 0.888
0.771 0.112 0.350
0.350 0.771 0.112
0.229 0.888 0.650
0.112 0.350 0.771
0.000 0.000 0.000

---

(2)
PmGd3, relaxed, DFT r²SCAN; energy of formation = 0.090 eV per atom; symmetry = Pm-3m (221)
1.0
-3.616 -3.592 -1.008
3.730 -3.458 -1.061
0.063 -1.463 4.985
Pm Gd
1 3
Direct
0.000 0.000 0.000
0.500 0.500 0.000
0.500 0.000 0.500
0.000 0.500 0.500

---

(3)
K3FeO4, relaxed, DFT r²SCAN; energy of formation = -1.621 eV per atom; symmetry = Pnma (62)
1.0
7.628 0.000 0.000
0.000 7.778 0.000
0.000 0.000 9.026
O K Fe
16 12 4
Direct
0.479 0.922 0.250
0.815 0.042 0.579
0.315 0.458 0.579
0.213 0.725 0.750
0.521 0.078 0.750
0.787 0.275 0.250
0.815 0.042 0.921
0.713 0.775 0.750
0.979 0.578 0.250
0.021 0.422 0.750
0.185 0.958 0.079
0.315 0.458 0.921
0.685 0.542 0.421
0.287 0.225 0.250
0.185 0.958 0.421
0.685 0.542 0.079
0.537 0.219 0.036
0.037 0.281 0.036
0.169 0.057 0.750
0.463 0.781 0.964
0.537 0.219 0.464
0.963 0.719 0.964
0.331 0.557 0.250
0.037 0.281 0.464
0.831 0.943 0.250
0.463 0.781 0.536
0.669 0.443 0.750
0.963 0.719 0.536
0.726 0.993 0.750
0.274 0.007 0.250
0.774 0.493 0.250
0.226 0.507 0.750

---

(4)
YAu3, relaxed, DFT r²SCAN; energy of formation = -0.773 eV per atom; symmetry = Pmmn (59)
1.0
0.000 5.000 0.000
0.000 0.000 5.103
6.228 0.000 0.000
Au Y
6 2
Direct
0.750 0.839 0.008
0.750 0.331 0.250
0.250 0.669 0.750
0.250 0.161 0.992
0.750 0.839 0.492
0.250 0.161 0.508
0.750 0.345 0.750
0.250 0.655 0.250

---

(5)
YbSm4S5, relaxed, DFT r²SCAN; energy of formation = -2.266 eV per atom; symmetry = R-3m (166)
1.0
-3.337 -5.330 -15.236
-0.999 -8.333 -14.187
-4.847 -8.428 -13.310
Sm S Yb
4 5 1
Direct
0.201 0.201 0.201
0.799 0.799 0.799
0.399 0.399 0.399
0.601 0.601 0.601
0.303 0.303 0.303
0.901 0.901 0.901
0.500 0.500 0.500
0.697 0.697 0.697
0.099 0.099 0.099
0.000 0.000 0.000

---

(6)
TlSnF7, relaxed, DFT r²SCAN; energy of formation = -2.344 eV per atom; symmetry = P2_1/c (14)
1.0
5.436 0.000 0.000
0.000 8.765 0.021
0.000 5.498 10.598
F Tl Sn
28 4 4
Direct
0.465 0.282 0.357
0.243 0.982 0.450
0.439 0.708 0.413
0.076 0.266 0.542
0.939 0.292 0.087
0.049 0.735 0.683
0.576 0.734 0.958
0.757 0.018 0.550
0.035 0.282 0.857
0.549 0.265 0.817
0.893 0.041 0.770
0.451 0.735 0.183
0.393 0.959 0.730
0.743 0.018 0.050
0.107 0.959 0.230
0.209 0.476 0.634
0.424 0.266 0.042
0.709 0.524 0.866
0.561 0.292 0.587
0.965 0.718 0.143
0.257 0.982 0.950
0.061 0.708 0.913
0.924 0.734 0.458
0.791 0.524 0.366
0.951 0.265 0.317
0.535 0.718 0.643
0.291 0.476 0.134
0.607 0.041 0.270
0.759 0.815 0.264
0.259 0.185 0.236
0.741 0.815 0.764
0.241 0.185 0.736
0.260 0.729 0.043
0.740 0.271 0.957
0.760 0.271 0.457
0.240 0.729 0.543